The following is a PBE-GGA calculation of a geometry-optimized CsSbH4O5 structure, from Materials Project.

a = 6.7509 Å, b = 6.7803 Å, c = 7.5970 Å
α = 90.30°, β = 109.97°, γ = 113.63°
Closest atoms and distances in Å follow each position.
Atoms (fractional coordinates):
Sb: 0.5372 0.3669 0.8590  6 O 2.00-2.05
Sb: 0.4628 0.6331 0.1410  6 O 2.00-2.05
Cs: 0.8281 0.9914 0.7142  6 O 3.06-3.41, 2 H 3.27-3.40
Cs: 0.1719 0.0086 0.2858  6 O 3.06-3.41, 2 H 3.27-3.40
H: 0.7137 0.4576 0.3156  1 O 0.98
H: 0.3415 0.9544 0.8099  1 O 1.00
H: 0.9046 0.3739 0.1197  1 O 0.99
H: 0.2863 0.5424 0.6844  1 O 0.98
H: 0.0954 0.6261 0.8803  1 O 0.99
H: 0.2803 0.5197 0.3855  1 O 1.00
H: 0.7197 0.4803 0.6145  1 O 1.00
H: 0.6585 0.0456 0.1901  1 O 1.00
O: 0.6859 0.6721 0.0074  2 Sb 2.02
O: 0.2614 0.7342 0.9320  1 H 0.99
O: 0.3141 0.3279 0.9926  2 Sb 2.02
O: 0.3575 0.0605 0.7196  1 H 1.00
O: 0.2205 0.5589 0.2581  1 H 1.00
O: 0.6595 0.5477 0.3711  1 H 0.98
O: 0.3405 0.4523 0.6289  1 H 0.98
O: 0.7795 0.4411 0.7419  1 H 1.00
O: 0.6425 0.9395 0.2804  1 H 1.00
O: 0.7386 0.2658 0.0680  1 H 0.99

Computed properties:
Volume = 295 Å³/cell
Theoretical density = 3.81 g/cm³
SG = P-1, No. 2
Formation enthalpy at 0 K = -157.06 kJ per mole of atoms
Total energy = -0.1931 hartree per atom

=====

The following is a PBE-GGA calculation of a geometry-optimized CsHSeO4 structure, from Materials Project.

a = 8.6862 Å, b = 7.9640 Å, c = 8.1563 Å
α = 69.52°, β = 90.00°, γ = 90.00°
Closest atoms and distances in Å follow each position.
Atoms (fractional coordinates):
H: 0.7924 0.4616 0.1104  1 O 1.03
H: 0.2924 0.0384 0.8896  1 O 1.03
H: 0.7076 0.9616 0.1104  1 O 1.03
H: 0.2076 0.5384 0.8896  1 O 1.03
O: 0.0205 0.8047 0.3157  1 Se 1.65
O: 0.7879 0.8930 0.0652  1 H 1.03
O: 0.9276 0.5765 0.1478  1 H 1.58, 1 Se 1.67
O: 0.2121 0.1070 0.9348  1 H 1.03
O: 0.9795 0.1953 0.6843  1 Se 1.65
O: 0.4795 0.3047 0.3157  1 Se 1.65
O: 0.2879 0.6070 0.9348  1 H 1.03
O: 0.0724 0.4235 0.8522  1 H 1.58, 1 Se 1.67
O: 0.5724 0.0765 0.1478  1 H 1.58, 1 Se 1.67
O: 0.2636 0.3584 0.6071  1 Se 1.65
O: 0.7121 0.3930 0.0652  1 H 1.03
O: 0.7364 0.6416 0.3929  1 Se 1.65
O: 0.2364 0.8584 0.6071  1 Se 1.65
O: 0.7636 0.1416 0.3929  1 Se 1.65
O: 0.4276 0.9235 0.8522  1 H 1.58, 1 Se 1.67
O: 0.5205 0.6953 0.6843  1 Se 1.65
Se: 0.3724 0.7793 0.7558  4 O 1.65-1.78
Se: 0.1276 0.2793 0.7558  4 O 1.65-1.78
Se: 0.6276 0.2207 0.2442  4 O 1.65-1.78
Se: 0.8724 0.7207 0.2442  4 O 1.65-1.78
Cs: 0.6252 0.2937 0.7061  9 O 3.19-3.44, 2 H 3.50-3.55
Cs: 0.8748 0.7937 0.7061  9 O 3.19-3.44, 2 H 3.50-3.55
Cs: 0.1252 0.2063 0.2939  9 O 3.19-3.44, 2 H 3.50-3.55
Cs: 0.3748 0.7063 0.2939  9 O 3.19-3.44, 2 H 3.50-3.55

Computed properties:
Volume = 529 Å³/cell
Theoretical density = 3.48 g/cm³
SG = P2_1/c, No. 14
Formation enthalpy at 0 K = -145.96 kJ per mole of atoms
Total energy = -0.1859 hartree per atom

=====

The following is a PBE-GGA calculation of a geometry-optimized CsSi2HO5 structure, from Materials Project.

a = 5.0492 Å, b = 8.9841 Å, c = 13.0407 Å
α = 90.00°, β = 90.00°, γ = 90.00°
Closest atoms and distances in Å follow each position.
Atoms (fractional coordinates):
Si: 0.9698 0.5712 0.3165  4 O 1.61-1.65
Si: 0.5302 0.4288 0.8165  4 O 1.61-1.65
Si: 0.0302 0.4288 0.6835  4 O 1.61-1.65
Si: 0.4698 0.9288 0.1835  4 O 1.61-1.65
Si: 0.0302 0.0712 0.6835  4 O 1.61-1.65
Si: 0.4698 0.5712 0.1835  4 O 1.61-1.65
Si: 0.9698 0.9288 0.3165  4 O 1.61-1.65
Si: 0.5302 0.0712 0.8165  4 O 1.61-1.65
O: 0.1035 0.5252 0.5836  1 H 1.23
O: 0.2262 0.4667 0.7779  2 Si 1.62-1.65
O: 0.2738 0.5333 0.2779  2 Si 1.62-1.65
O: 0.6035 0.9748 0.9164  1 H 1.23
O: 0.4531 0.7500 0.1541  2 Si 1.65
O: 0.3965 0.0252 0.0836  1 H 1.23
O: 0.5469 0.2500 0.8459  2 Si 1.65
O: 0.2262 0.0333 0.7779  2 Si 1.62-1.65
O: 0.0469 0.2500 0.6541  2 Si 1.65
O: 0.8965 0.4748 0.4164  1 H 1.23
O: 0.7738 0.9667 0.2221  2 Si 1.62-1.65
O: 0.7738 0.5333 0.2221  2 Si 1.62-1.65
O: 0.6035 0.5252 0.9164  1 H 1.23
O: 0.2738 0.9667 0.2779  2 Si 1.62-1.65
O: 0.1035 0.9748 0.5836  1 H 1.23
O: 0.7262 0.0333 0.7221  2 Si 1.62-1.65
O: 0.9531 0.7500 0.3459  2 Si 1.65
O: 0.3965 0.4748 0.0836  1 H 1.23
O: 0.7262 0.4667 0.7221  2 Si 1.62-1.65
O: 0.8965 0.0252 0.4164  1 H 1.23
H: 0.5000 0.5000 0.0000  2 O 1.23
H: 0.0000 0.0000 0.5000  2 O 1.23
H: 0.5000 0.0000 0.0000  2 O 1.23
H: 0.0000 0.5000 0.5000  2 O 1.23
Cs: 0.4329 0.2500 0.4418  7 O 3.11-3.42, 2 H 3.22
Cs: 0.9329 0.2500 0.0582  7 O 3.11-3.42, 2 H 3.22
Cs: 0.0671 0.7500 0.9418  7 O 3.11-3.42, 2 H 3.22
Cs: 0.5671 0.7500 0.5582  7 O 3.11-3.42, 2 H 3.22

Computed properties:
Volume = 592 Å³/cell
Theoretical density = 3.03 g/cm³
Offset from the most stable computed form = 0.005 eV/atom
SG = Pnma, No. 62
Formation enthalpy at 0 K = -268.71 kJ per mole of atoms
Total energy = -0.2512 hartree per atom

=====

The following is a PBE-GGA calculation of a geometry-optimized CsSi2HO5 structure, from Materials Project.

a = 5.0464 Å, b = 9.0745 Å, c = 13.2044 Å
α = 90.00°, β = 90.00°, γ = 90.00°
Closest atoms and distances in Å follow each position.
Atoms (fractional coordinates):
Si: 0.4700 0.4238 0.4348  4 O 1.62-1.64
Si: 0.4687 0.0712 0.4290  4 O 1.59-1.66
Si: 0.5313 0.5712 0.0710  4 O 1.59-1.66
Si: 0.0313 0.9288 0.9290  4 O 1.59-1.66
Si: 0.9687 0.4288 0.5710  4 O 1.59-1.66
Si: 0.9700 0.0762 0.5652  4 O 1.62-1.64
Si: 0.5300 0.9238 0.0652  4 O 1.62-1.64
Si: 0.0300 0.5762 0.9348  4 O 1.62-1.64
O: 0.2293 0.9634 0.0261  2 Si 1.64-1.66
O: 0.7699 0.0350 0.4715  2 Si 1.64-1.65
O: 0.4493 0.2493 0.4043  2 Si 1.64-1.65
O: 0.2301 0.5350 0.0285  2 Si 1.64-1.65
O: 0.5507 0.7493 0.0957  2 Si 1.64-1.65
O: 0.8953 0.9777 0.6635  1 H 1.09
O: 0.6047 0.0223 0.1635  1 H 1.09
O: 0.7301 0.9650 0.9715  2 Si 1.64-1.65
O: 0.1047 0.4777 0.8365  1 H 1.09
O: 0.4031 0.9764 0.3305  1 H 1.38
O: 0.5969 0.4764 0.1695  1 H 1.38
O: 0.2699 0.4650 0.5285  2 Si 1.64-1.65
O: 0.0969 0.0236 0.8305  1 H 1.38
O: 0.0507 0.7507 0.9043  2 Si 1.64-1.65
O: 0.9493 0.2507 0.5957  2 Si 1.64-1.65
O: 0.2707 0.0366 0.5261  2 Si 1.64-1.66
O: 0.7293 0.5366 0.9739  2 Si 1.64-1.66
O: 0.7707 0.4634 0.4739  2 Si 1.64-1.66
O: 0.3953 0.5223 0.3365  1 H 1.09
O: 0.9031 0.5236 0.6695  1 H 1.38
H: 0.0131 0.4987 0.7634  1 O 1.09
H: 0.9869 0.9987 0.7366  1 O 1.09
H: 0.4869 0.5013 0.2634  1 O 1.09
H: 0.5131 0.0013 0.2366  1 O 1.09
Cs: 0.4334 0.7461 0.6902  6 O 3.13-3.45, 2 H 3.24-3.27
Cs: 0.0666 0.2539 0.1902  6 O 3.13-3.45, 2 H 3.24-3.27
Cs: 0.5666 0.2461 0.8098  6 O 3.13-3.45, 2 H 3.24-3.27
Cs: 0.9334 0.7539 0.3098  6 O 3.13-3.45, 2 H 3.24-3.27

Computed properties:
Volume = 605 Å³/cell
Theoretical density = 2.97 g/cm³
Offset from the most stable computed form = 0.000 eV/atom
SG = P2_12_12_1, No. 19
Formation enthalpy at 0 K = -269.21 kJ per mole of atoms
Total energy = -0.2513 hartree per atom

=====

The following is a PBE-GGA calculation of a geometry-optimized Cs2TeH6O10 structure, from Materials Project.

a = 7.3632 Å, b = 12.1946 Å, c = 12.6416 Å
α = 68.43°, β = 90.00°, γ = 90.00°
Closest atoms and distances in Å follow each position.
Atoms (fractional coordinates):
H: 0.4605 0.1140 0.6316  1 O 1.01
H: 0.7677 0.3711 0.0991  1 O 1.02
H: 0.5179 0.3733 0.8762  1 O 1.00
H: 0.7854 0.1170 0.4068  1 O 1.00
H: 0.9605 0.3860 0.3684  1 O 1.01
H: 0.0179 0.1267 0.1238  1 O 1.00
H: 0.7323 0.8711 0.0991  1 O 1.02
H: 0.2808 0.3401 0.1283  1 O 1.01
H: 0.2323 0.6289 0.9009  1 O 1.02
H: 0.2854 0.3830 0.5932  1 O 1.00
H: 0.0395 0.6140 0.6316  1 O 1.01
H: 0.5395 0.8860 0.3684  1 O 1.01
H: 0.2146 0.8830 0.5932  1 O 1.00
H: 0.2192 0.8401 0.1283  1 O 1.01
H: 0.2677 0.1289 0.9009  1 O 1.02
H: 0.7808 0.1599 0.8717  1 O 1.01
H: 0.7146 0.6170 0.4068  1 O 1.00
H: 0.9821 0.8733 0.8762  1 O 1.00
H: 0.4821 0.6267 0.1238  1 O 1.00
H: 0.7503 0.8852 0.6373  1 O 1.01
H: 0.7497 0.3852 0.6373  1 O 1.01
H: 0.2497 0.1148 0.3627  1 O 1.01
H: 0.7192 0.6599 0.8717  1 O 1.01
H: 0.2503 0.6148 0.3627  1 O 1.01
O: 0.1668 0.7265 0.7768  1 H 1.65
O: 0.8332 0.2735 0.2232  1 H 1.65
O: 0.2032 0.3892 0.5283  1 H 1.00
O: 0.7032 0.1108 0.4717  1 H 1.00
O: 0.4154 0.3569 0.1211  1 H 1.01
O: 0.4333 0.8323 0.2807  1 H 1.67
O: 0.4126 0.7497 0.1589  2 H 1.75-1.79
O: 0.5846 0.6431 0.8789  1 H 1.01
O: 0.5874 0.2503 0.8411  2 H 1.75-1.79
O: 0.9333 0.6677 0.7193  1 H 1.67
O: 0.9126 0.7503 0.8411  2 H 1.75-1.79
O: 0.0610 0.9381 0.8818  1 H 1.00
O: 0.9154 0.1431 0.8789  1 H 1.01
O: 0.9390 0.0619 0.1182  1 H 1.00
O: 0.5171 0.3500 0.6660  2 H 1.77-1.91
O: 0.6668 0.7735 0.2232  1 H 1.65
O: 0.7968 0.6108 0.4717  1 H 1.00
O: 0.9829 0.8500 0.6660  2 H 1.77-1.91
O: 0.0874 0.2497 0.1589  2 H 1.75-1.79
O: 0.3850 0.1042 0.3595  1 H 1.01
O: 0.3332 0.2265 0.7768  1 H 1.65
O: 0.2567 0.5678 0.9797  1 H 1.02
O: 0.0171 0.1500 0.3340  2 H 1.77-1.91
O: 0.6234 0.9192 0.4128  1 H 1.01
O: 0.3766 0.0808 0.5872  1 H 1.01
O: 0.0846 0.8569 0.1211  1 H 1.01
O: 0.2433 0.0678 0.9797  1 H 1.02
O: 0.8766 0.4192 0.4128  1 H 1.01
O: 0.5667 0.1677 0.7193  1 H 1.67
O: 0.4390 0.4381 0.8818  1 H 1.00
O: 0.6150 0.8958 0.6405  1 H 1.01
O: 0.5610 0.5619 0.1182  1 H 1.00
O: 0.4829 0.6500 0.3340  2 H 1.77-1.91
O: 0.2968 0.8892 0.5283  1 H 1.00
O: 0.1150 0.6042 0.3595  1 H 1.01
O: 0.1234 0.5808 0.5872  1 H 1.01
O: 0.7433 0.4322 0.0203  1 H 1.02
O: 0.0667 0.3323 0.2807  1 H 1.67
O: 0.8850 0.3958 0.6405  1 H 1.01
O: 0.7567 0.9322 0.0203  1 H 1.02
Cs: 0.4903 0.3584 0.3641  7 O 3.06-3.34, 1 H 3.38
Cs: 0.5097 0.6416 0.6359  7 O 3.06-3.34, 1 H 3.38
Cs: 0.9903 0.1416 0.6359  7 O 3.06-3.34, 1 H 3.38
Cs: 0.5374 0.1100 0.1318  5 O 3.03-3.30, 2 H 3.23-3.37
Cs: 0.0097 0.8584 0.3641  7 O 3.06-3.34, 1 H 3.38
Cs: 0.0374 0.3900 0.8682  5 O 3.03-3.30, 2 H 3.23-3.37
Cs: 0.9626 0.6100 0.1318  5 O 3.03-3.30, 2 H 3.23-3.37
Cs: 0.4626 0.8900 0.8682  5 O 3.03-3.30, 2 H 3.23-3.37
Te: 0.0000 0.5000 0.5000  6 O 1.95-1.96
Te: 0.5000 0.5000 0.0000  6 O 1.95-1.96
Te: 0.5000 0.0000 0.5000  6 O 1.95-1.96
Te: 0.0000 0.0000 0.0000  6 O 1.95-1.96

Computed properties:
Volume = 1056 Å³/cell
Theoretical density = 3.52 g/cm³
SG = P2_1/c, No. 14
Formation enthalpy at 0 K = -100.67 kJ per mole of atoms
Total energy = -0.1697 hartree per atom

=====

The following is a PBE-GGA calculation of a geometry-optimized Cs3H5Pd structure, from Materials Project.

a = 8.3320 Å, b = 8.3320 Å, c = 6.3280 Å
α = 90.00°, β = 90.00°, γ = 90.00°
Closest atoms and distances in Å follow each position.
Atoms (fractional coordinates):
H: 0.5000 0.5000 0.5000  6 Cs 3.05-3.16
H: 0.0000 0.0000 0.5000  6 Cs 3.05-3.16
H: 0.8994 0.6006 0.1865  1 Pd 1.67
H: 0.6006 0.1006 0.8135  1 Pd 1.67
H: 0.3994 0.8994 0.1865  1 Pd 1.67
H: 0.6006 0.1006 0.1865  1 Pd 1.67
H: 0.8994 0.6006 0.8135  1 Pd 1.67
H: 0.1006 0.3994 0.1865  1 Pd 1.67
H: 0.1006 0.3994 0.8135  1 Pd 1.67
H: 0.3994 0.8994 0.8135  1 Pd 1.67
Cs: 0.5000 0.5000 0.0000  2 H 3.16
Cs: 0.3165 0.1835 0.5000  8 H 3.05-3.23
Cs: 0.0000 0.0000 0.0000  2 H 3.16
Cs: 0.6835 0.8165 0.5000  8 H 3.05-3.23
Cs: 0.1835 0.6835 0.5000  8 H 3.05-3.23
Cs: 0.8165 0.3165 0.5000  8 H 3.05-3.23
Pd: 0.5000 0.0000 0.0000  4 H 1.67
Pd: 0.0000 0.5000 0.0000  4 H 1.67

Computed properties:
Volume = 439 Å³/cell
Theoretical density = 3.86 g/cm³
SG = P4/mbm, No. 127
Formation enthalpy at 0 K = -22.34 kJ per mole of atoms
Total energy = -0.1099 hartree per atom